[1]
Computed, not measured: crystalline Zr2Cr2F3 at its relaxed geometry at the GGA+U level of DFT.

- Magnetization: 7.1 μB per formula unit
- Energy relative to the elements: -129.2 kJ per mole of atoms

Unit cell a=6.6013 b=6.6013 c=5.8493 alpha=87.62 beta=87.62 gamma=97.73
Last column: nearest neighbours and their distance in Å.
Atoms (fractional coordinates):
Zr 0.8363 0.8363 0.1958  2 F 2.12-2.14
Zr 0.7756 0.3147 0.3712  2 F 2.10-2.17
Zr 0.3147 0.7756 0.3712  2 F 2.10-2.17
Zr 0.2134 0.2134 0.1924  3 F 2.24-2.45
Cr 0.0327 0.5336 0.8926  2 F 2.00-2.06
Cr 0.9852 0.9852 0.5888  1 F 2.14
Cr 0.3328 0.3328 0.6322  4 F 2.82-3.13, 1 Zr 2.83, 3 Cr 2.94-3.05
Cr 0.5336 0.0327 0.8926  2 F 2.00-2.06
F 0.6082 0.6082 0.3501  3 Zr 2.12-2.36
F 0.4272 0.8018 0.7009  1 Cr 2.00, 1 Zr 2.10
F 0.8018 0.4272 0.7009  1 Cr 2.00, 1 Zr 2.10
F 0.2896 0.5783 0.0828  1 Cr 2.06, 1 Zr 2.17
F 0.5783 0.2896 0.0828  1 Cr 2.06, 1 Zr 2.17
F 0.0268 0.0268 0.9457  2 Zr 2.14-2.24, 1 Cr 2.14

[2]
Computed, not measured: crystalline Na3Mn2V3O12 at its relaxed geometry at the GGA+U level of DFT.

- Magnetization: 8.0 μB per formula unit
- Energy relative to the elements: -217.6 kJ per mole of atoms

Unit cell a=10.8628 b=10.8628 c=10.8628 alpha=109.47 beta=109.47 gamma=109.47
Last column: nearest neighbours and their distance in Å.
Atoms (fractional coordinates):
Na 0.8750 0.6250 0.7500  8 O 2.50-2.59
Na 0.1250 0.3750 0.2500  8 O 2.50-2.59
Na 0.6250 0.8750 0.2500  8 O 2.50-2.59
Na 0.6250 0.7500 0.8750  8 O 2.50-2.59
Na 0.8750 0.2500 0.6250  8 O 2.50-2.59
Na 0.3750 0.1250 0.7500  8 O 2.50-2.59
Na 0.3750 0.2500 0.1250  8 O 2.50-2.59
Na 0.1250 0.7500 0.3750  8 O 2.50-2.59
Na 0.7500 0.8750 0.6250  8 O 2.50-2.59
Na 0.2500 0.1250 0.3750  8 O 2.50-2.59
Na 0.2500 0.6250 0.8750  8 O 2.50-2.59
Na 0.7500 0.3750 0.1250  8 O 2.50-2.59
Mn 0.0000 0.0000 0.0000  6 O 2.05
Mn 0.5000 0.0000 0.5000  6 O 2.05
Mn 0.5000 0.5000 0.0000  6 O 2.05
Mn 0.0000 0.0000 0.5000  6 O 2.05
Mn 0.0000 0.5000 0.5000  6 O 2.05
Mn 0.5000 0.5000 0.5000  6 O 2.05
Mn 0.5000 0.0000 0.0000  6 O 2.05
Mn 0.0000 0.5000 0.0000  6 O 2.05
V 0.6250 0.3750 0.7500  4 O 1.75
V 0.3750 0.6250 0.2500  4 O 1.75
V 0.8750 0.1250 0.2500  4 O 1.75
V 0.3750 0.7500 0.6250  4 O 1.75
V 0.6250 0.2500 0.3750  4 O 1.75
V 0.1250 0.8750 0.7500  4 O 1.75
V 0.1250 0.2500 0.8750  4 O 1.75
V 0.8750 0.7500 0.1250  4 O 1.75
V 0.7500 0.6250 0.3750  4 O 1.75
V 0.2500 0.3750 0.6250  4 O 1.75
V 0.2500 0.8750 0.1250  4 O 1.75
V 0.7500 0.1250 0.8750  4 O 1.75
O 0.6993 0.6103 0.5086  1 V 1.75
O 0.3007 0.3897 0.4914  1 V 1.75
O 0.8007 0.8093 0.4110  1 V 1.75
O 0.3983 0.8897 0.0890  1 V 1.75
O 0.6103 0.5086 0.6993  1 V 1.75
O 0.6993 0.0890 0.6907  1 V 1.75
O 0.1993 0.1907 0.5890  1 V 1.75
O 0.6017 0.1103 0.9110  1 V 1.75
O 0.3897 0.4914 0.3007  1 V 1.75
O 0.3007 0.9110 0.3093  1 V 1.75
O 0.1017 0.6907 0.9914  1 V 1.75
O 0.8093 0.4110 0.8007  1 V 1.75
O 0.8007 0.9914 0.8897  1 V 1.75
O 0.8983 0.3093 0.0086  1 V 1.75
O 0.1907 0.5890 0.1993  1 V 1.75
O 0.1993 0.0086 0.1103  1 V 1.75
O 0.8897 0.0890 0.3983  1 V 1.75
O 0.3983 0.5086 0.8093  1 V 1.75
O 0.1103 0.9110 0.6017  1 V 1.75
O 0.6017 0.4914 0.1907  1 V 1.75
O 0.6907 0.9914 0.1017  1 V 1.75
O 0.1017 0.4110 0.6103  1 V 1.75
O 0.3093 0.0086 0.8983  1 V 1.75
O 0.8983 0.5890 0.3897  1 V 1.75
O 0.5086 0.6993 0.6103  1 V 1.75
O 0.6103 0.1017 0.4110  1 V 1.75
O 0.4914 0.3007 0.3897  1 V 1.75
O 0.3897 0.8983 0.5890  1 V 1.75
O 0.0890 0.3983 0.8897  1 V 1.75
O 0.8897 0.8007 0.9914  1 V 1.75
O 0.9110 0.6017 0.1103  1 V 1.75
O 0.1103 0.1993 0.0086  1 V 1.75
O 0.9914 0.1017 0.6907  1 V 1.75
O 0.6907 0.6993 0.0890  1 V 1.75
O 0.0086 0.8983 0.3093  1 V 1.75
O 0.3093 0.3007 0.9110  1 V 1.75
O 0.4110 0.8007 0.8093  1 V 1.75
O 0.8093 0.3983 0.5086  1 V 1.75
O 0.5890 0.1993 0.1907  1 V 1.75
O 0.1907 0.6017 0.4914  1 V 1.75
O 0.0890 0.6907 0.6993  1 V 1.75
O 0.9110 0.3093 0.3007  1 V 1.75
O 0.9914 0.8897 0.8007  1 V 1.75
O 0.0086 0.1103 0.1993  1 V 1.75
O 0.4110 0.6103 0.1017  1 V 1.75
O 0.5890 0.3897 0.8983  1 V 1.75
O 0.5086 0.8093 0.3983  1 V 1.75
O 0.4914 0.1907 0.6017  1 V 1.75

[3]
Computed, not measured: crystalline LiEu2CoO4 at its relaxed geometry at the GGA+U level of DFT.

- Magnetization: 16.0 μB per formula unit
- Energy relative to the elements: -240.8 kJ per mole of atoms

Unit cell a=3.3223 b=9.3945 c=5.1080 alpha=122.38 beta=49.29 gamma=110.56
Last column: nearest neighbours and their distance in Å.
Atoms (fractional coordinates):
Li 0.0038 0.9080 0.2568  4 O 1.93-2.15
Eu 0.0082 0.6498 0.4958  7 O 2.45-2.60
Eu 0.9921 0.3113 0.6718  7 O 2.35-2.60
Co 0.9932 0.0496 0.9104  4 O 1.91-2.12
O 0.0053 0.3415 0.1887  1 Co 2.32, 3 Eu 2.45-2.53
O 0.5070 0.0772 0.4263  2 Co 1.91-1.99, 1 Li 2.12
O 0.5132 0.8857 0.7310  2 Li 1.93-1.96, 2 Co 2.10-2.12
O 0.9930 0.6070 0.9550  5 Eu 2.35-2.60, 1 Li 2.39

[4]
Computed, not measured: crystalline Na6Mn2B4AsO16 at its relaxed geometry at the GGA+U level of DFT.

- Magnetization: 5.0 μB per formula unit
- Energy relative to the elements: -214.7 kJ per mole of atoms

Unit cell a=9.9166 b=9.9166 c=9.9166 alpha=60.00 beta=60.00 gamma=60.00
Last column: nearest neighbours and their distance in Å.
Atoms (fractional coordinates):
Na 0.2830 0.7170 0.2830  6 O 2.40-2.53
Na 0.5330 0.9670 0.5330  6 O 2.40-2.53
Na 0.2830 0.7170 0.7170  6 O 2.40-2.53
Na 0.2830 0.2830 0.7170  6 O 2.40-2.53
Na 0.5330 0.9670 0.9670  6 O 2.40-2.53
Na 0.5330 0.5330 0.9670  6 O 2.40-2.53
Na 0.7170 0.2830 0.2830  6 O 2.40-2.53
Na 0.7170 0.7170 0.2830  6 O 2.40-2.53
Na 0.9670 0.9670 0.5330  6 O 2.40-2.53
Na 0.9670 0.5330 0.5330  6 O 2.40-2.53
Na 0.7170 0.2830 0.7170  6 O 2.40-2.53
Na 0.9670 0.5330 0.9670  6 O 2.40-2.53
Mn 0.6250 0.1250 0.1250  6 O 1.95
Mn 0.1250 0.6250 0.1250  6 O 1.95
Mn 0.1250 0.1250 0.1250  6 O 1.95
Mn 0.1250 0.1250 0.6250  6 O 1.95
B 0.3348 0.3348 0.3348  3 O 1.38
B 0.3348 0.9955 0.3348  3 O 1.38
B 0.9955 0.3348 0.3348  3 O 1.38
B 0.9152 0.9152 0.2545  3 O 1.38
B 0.2545 0.9152 0.9152  3 O 1.38
B 0.3348 0.3348 0.9955  3 O 1.38
B 0.9152 0.2545 0.9152  3 O 1.38
B 0.9152 0.9152 0.9152  3 O 1.38
As 0.5000 0.5000 0.5000  4 O 1.72
As 0.7500 0.7500 0.7500  4 O 1.72
O 0.4900 0.3044 0.2172  1 B 1.38
O 0.5708 0.5708 0.2877  1 As 1.72
O 0.4900 0.9883 0.3044  1 B 1.38
O 0.3044 0.9883 0.2172  1 B 1.38
O 0.5708 0.5708 0.5708  1 As 1.72
O 0.5708 0.2877 0.5708  1 As 1.72
O 0.2172 0.4900 0.3044  1 B 1.38
O 0.3044 0.2172 0.4900  1 B 1.38
O 0.2877 0.5708 0.5708  1 As 1.72
O 0.9883 0.4900 0.2172  1 B 1.38
O 0.0328 0.9456 0.2617  1 B 1.38
O 0.2172 0.9883 0.4900  1 B 1.38
O 0.9883 0.2172 0.3044  1 B 1.38
O 0.9456 0.7600 0.2617  1 B 1.38
O 0.4900 0.2172 0.9883  1 B 1.38
O 0.2617 0.9456 0.7600  1 B 1.38
O 0.7600 0.0328 0.2617  1 B 1.38
O 0.9883 0.3044 0.4900  1 B 1.38
O 0.3044 0.4900 0.9883  1 B 1.38
O 0.2617 0.0328 0.9456  1 B 1.38
O 0.0328 0.2617 0.7600  1 B 1.38
O 0.2172 0.3044 0.9883  1 B 1.38
O 0.2617 0.7600 0.0328  1 B 1.38
O 0.9623 0.6792 0.6792  1 As 1.72
O 0.9456 0.0328 0.7600  1 B 1.38
O 0.0328 0.7600 0.9456  1 B 1.38
O 0.6792 0.9623 0.6792  1 As 1.72
O 0.6792 0.6792 0.6792  1 As 1.72
O 0.9456 0.2617 0.0328  1 B 1.38
O 0.7600 0.2617 0.9456  1 B 1.38
O 0.6792 0.6792 0.9623  1 As 1.72
O 0.7600 0.9456 0.0328  1 B 1.38

| no. | total energy (eV per atom) |
| --- | --- |
| 1 | -6.591 |
| 2 | -6.868 |
| 3 | -8.112 |
| 4 | -6.449 |